Compound: NaPm2Sn
Source: Materials Project
Functional: PBE
Structure: optimized geometry

a b c (Å): 5.4631 5.4631 5.4631
angles (deg): 60.00 60.00 60.00
With the nearest neighbours (Å) after each atom.
Element x y z (fractional)
Sn: 0.0000 0.0000 0.0000  8 Pm 3.35
Pm: 0.7500 0.7500 0.7500  4 Sn 3.35, 4 Na 3.35
Na: 0.5000 0.5000 0.5000  8 Pm 3.35
Pm: 0.2500 0.2500 0.2500  4 Sn 3.35, 4 Na 3.35

=====

Compound: NaPmTl2
Source: Materials Project
Functional: PBE
Structure: optimized geometry

a b c (Å): 5.4242 5.4242 5.4242
angles (deg): 60.00 60.00 60.00
With the nearest neighbours (Å) after each atom.
Element x y z (fractional)
Na: 0.5000 0.5000 0.5000  8 Tl 3.32
Tl: 0.7500 0.7500 0.7500  4 Na 3.32, 4 Pm 3.32
Tl: 0.2500 0.2500 0.2500  4 Na 3.32, 4 Pm 3.32
Pm: 0.0000 0.0000 0.0000  8 Tl 3.32

=====

Compound: NaPrS2
Source: Materials Project
Functional: PBE
Structure: optimized geometry

**Energy with MP2020 corrections**: -5.62 eV/atom

a b c (Å): 7.1130 7.1130 7.1130
angles (deg): 34.06 34.06 34.06
With the nearest neighbours (Å) after each atom.
Element x y z (fractional)
Na: 0.0000 0.0000 0.0000  6 S 2.99
S: 0.7549 0.7549 0.7549  3 Pr 2.88, 3 Na 2.99
Pr: 0.5000 0.5000 0.5000  6 S 2.88
S: 0.2451 0.2451 0.2451  3 Pr 2.88, 3 Na 2.99

=====

Compound: NaPrS2
Source: Materials Project
Functional: PBE
Structure: optimized geometry

**Energy with MP2020 corrections**: -5.53 eV/atom

a b c (Å): 4.1507 4.1507 5.6397
angles (deg): 90.00 90.00 90.00
With the nearest neighbours (Å) after each atom.
Element x y z (fractional)
S: 0.5000 0.5000 0.0000  2 Pr 2.82, 4 Na 2.93
Pr: 0.5000 0.5000 0.5000  6 S 2.82-2.93
Na: 0.0000 0.0000 0.0000  6 S 2.82-2.93
S: 0.0000 0.0000 0.5000  2 Na 2.82, 4 Pr 2.93

=====

Compound: NaPrS2
Source: Materials Project
Functional: PBE
Structure: optimized geometry

**Energy with MP2020 corrections**: -5.61 eV/atom

a b c (Å): 7.2829 7.2829 7.2829
angles (deg): 133.47 133.47 67.91
With the nearest neighbours (Å) after each atom.
Element x y z (fractional)
S: 0.5132 0.0132 0.5000  3 Pr 2.86-2.88, 3 Na 2.88-3.18
Na: 0.2500 0.7500 0.5000  6 S 2.88-3.18
Na: 0.5000 0.5000 0.0000  6 S 2.88-3.18
S: 0.2368 0.2368 0.0000  3 Pr 2.86-2.88, 3 Na 2.88-3.18
Pr: 0.0000 0.0000 0.0000  6 S 2.86-2.88
S: 0.9868 0.4868 0.5000  3 Pr 2.86-2.88, 3 Na 2.88-3.18
Pr: 0.7500 0.2500 0.5000  6 S 2.86-2.88
S: 0.7632 0.7632 0.0000  3 Pr 2.86-2.88, 3 Na 2.88-3.18

=====

Compound: NaPr8Se12
Source: Materials Project
Functional: PBE
Structure: optimized geometry

**Energy with MP2020 corrections**: -5.99 eV/atom

a b c (Å): 14.9772 14.9772 14.9772
angles (deg): 144.99 144.99 50.35
With the nearest neighbours (Å) after each atom.
Element x y z (fractional)
Se: 0.2180 0.4710 0.8944  5 Pr 3.00-3.22, 1 Na 3.29
Pr: 0.2551 0.1250 0.6301  8 Se 3.03-3.25
Pr: 0.5826 0.0826 0.5000  8 Se 3.01-3.22
Se: 0.2414 0.9928 0.1005  6 Pr 3.04-3.25
Pr: 0.1674 0.1674 0.0000  8 Se 3.01-3.22
Se: 0.7428 0.4914 0.6005  6 Pr 3.04-3.25
Se: 0.5596 0.8117 0.9033  5 Pr 3.02-3.20, 1 Na 3.05
Se: 0.5617 0.8096 0.4033  5 Pr 3.02-3.20, 1 Na 3.05
Pr: 0.8381 0.9558 0.3751  8 Se 3.00-3.25
Se: 0.8416 0.4383 0.2479  5 Pr 3.02-3.20, 1 Na 3.05
Se: 0.8909 0.1424 0.3995  6 Pr 3.04-3.25
Pr: 0.1693 0.2942 0.3823  8 Se 3.00-3.25
Pr: 0.5807 0.4630 0.6249  8 Se 3.00-3.25
Se: 0.4063 0.1584 0.5967  5 Pr 3.02-3.20, 1 Na 3.05
Se: 0.0072 0.1076 0.2485  6 Pr 3.04-3.25
Pr: 0.9119 0.7870 0.6177  8 Se 3.00-3.25
Se: 0.1735 0.7790 0.2470  5 Pr 3.00-3.22, 1 Na 3.29
Se: 0.5320 0.9264 0.7530  5 Pr 3.00-3.22, 1 Na 3.29
Pr: 0.9174 0.4174 0.5000  8 Se 3.01-3.22
Se: 0.1904 0.5937 0.7521  5 Pr 3.02-3.20, 1 Na 3.05
Pr: 0.8750 0.5051 0.1301  8 Se 3.03-3.25
Pr: 0.3750 0.7449 0.8699  8 Se 3.03-3.25
Se: 0.5290 0.4235 0.7470  5 Pr 3.00-3.22, 1 Na 3.29
Na: 0.2500 0.7500 0.5000  8 Se 3.05-3.29
Se: 0.8924 0.1409 0.8995  6 Pr 3.04-3.25
Pr: 0.8326 0.8326 0.0000  8 Se 3.01-3.22
Se: 0.0736 0.8265 0.6056  5 Pr 3.00-3.22, 1 Na 3.29
Se: 0.3437 0.4404 0.2521  5 Pr 3.02-3.20, 1 Na 3.05
Se: 0.9084 0.6563 0.0967  5 Pr 3.02-3.20, 1 Na 3.05
Se: 0.6764 0.7820 0.2530  5 Pr 3.00-3.22, 1 Na 3.29
Pr: 0.2130 0.8307 0.1249  8 Se 3.00-3.25
Pr: 0.7058 0.0881 0.8751  8 Se 3.00-3.25
Se: 0.5765 0.3236 0.1056  5 Pr 3.00-3.22, 1 Na 3.29
Na: 0.5000 0.5000 0.0000  8 Se 3.05-3.29
Pr: 0.0442 0.4193 0.8823  8 Se 3.00-3.25
Se: 0.5086 0.1091 0.2515  6 Pr 3.04-3.25
Se: 0.8591 0.7586 0.7515  6 Pr 3.04-3.25
Pr: 0.5370 0.1619 0.1177  8 Se 3.00-3.25
Se: 0.1883 0.0916 0.7479  5 Pr 3.02-3.20, 1 Na 3.05
Se: 0.8576 0.2572 0.7485  6 Pr 3.04-3.25
Se: 0.2210 0.4680 0.3944  5 Pr 3.00-3.22, 1 Na 3.29
Pr: 0.4949 0.6250 0.3699  8 Se 3.03-3.25

=====

Compound: NaPr2Se3
Source: Materials Project
Functional: PBE
Structure: optimized geometry

**Energy with MP2020 corrections**: -5.52 eV/atom

a b c (Å): 7.4243 7.4243 7.4243
angles (deg): 146.69 132.02 59.66
With the nearest neighbours (Å) after each atom.
Element x y z (fractional)
Na: 0.0000 0.0000 0.0000  6 Se 3.02
Pr: 0.3363 0.3363 0.0000  6 Se 3.00-3.05
Pr: 0.6637 0.6637 0.0000  6 Se 3.00-3.05
Se: 0.5000 0.0000 0.5000  4 Pr 3.00, 2 Na 3.02
Se: 0.1666 0.6666 0.5000  4 Pr 3.02-3.05, 2 Na 3.02
Se: 0.8334 0.3334 0.5000  4 Pr 3.02-3.05, 2 Na 3.02

=====

Compound: NaPrSe2
Source: Materials Project
Functional: PBE
Structure: optimized geometry

**Energy with MP2020 corrections**: -5.18 eV/atom

a b c (Å): 4.3092 4.3092 7.4768
angles (deg): 73.25 73.25 60.00
With the nearest neighbours (Å) after each atom.
Element x y z (fractional)
Se: 0.2544 0.2544 0.2367  3 Pr 3.00, 3 Na 3.10
Se: 0.7456 0.7456 0.7633  3 Pr 3.00, 3 Na 3.10
Pr: 0.0000 0.0000 0.0000  6 Se 3.00
Na: 0.5000 0.5000 0.5000  6 Se 3.10

=====

Compound: NaPt
Source: Materials Project
Functional: PBE
Structure: optimized geometry

a b c (Å): 2.8510 2.8510 4.8898
angles (deg): 90.00 90.00 120.00
With the nearest neighbours (Å) after each atom.
Element x y z (fractional)
Na: 0.6667 0.3333 0.7500  6 Na 2.85, 6 Pt 2.95
Pt: 0.3333 0.6667 0.2500  6 Pt 2.85, 6 Na 2.95

=====

Compound: RbNa3
Source: Materials Project
Functional: PBE
Structure: optimized geometry

a b c (Å): 6.8783 6.8783 6.8783
angles (deg): 128.93 128.93 75.12
With the nearest neighbours (Å) after each atom.
Element x y z (fractional)
Na: 0.5000 0.5000 0.0000  8 Na 4.03, 4 Rb 4.19
Na: 0.7500 0.2500 0.5000  8 Na 4.03-4.19, 4 Rb 4.03
Rb: 0.0000 0.0000 0.0000  12 Na 4.03-4.19
Na: 0.2500 0.7500 0.5000  8 Na 4.03-4.19, 4 Rb 4.03

=====

no.,formation energy (meV per atom)
1,-331
2,-264
3,-2027
4,-1938
5,-2018
6,-2111
7,-1962
8,-1907
9,-170
10,57